# BaMg6Zr

Crystalline BaMg6Zr at its relaxed geometry (PBE-GGA, the Materials Project).

extended XYZ file:
```
16
Lattice="-1.350 -2.483 4.413 0.978 -5.988 -3.070 11.148 0.057 3.441" Properties=species:S:1:pos:R:3 pbc="T T T"
Ba 0.785 -4.230 0.971
Ba 5.870 -1.208 4.227
Mg 2.118 -1.360 -0.117
Mg 2.648 -4.609 -1.783
Mg 10.597 -2.942 1.585
Mg 8.919 -2.638 4.354
Mg 9.425 -5.737 2.766
Mg 6.204 -4.203 2.644
Mg 8.181 -4.325 0.068
Mg 7.733 -1.586 1.472
Mg 4.534 0.023 1.399
Mg 3.834 -5.660 1.099
Mg 3.362 -2.772 2.580
Mg 0.141 -1.237 2.458
Zr 5.109 -2.970 -0.109
Zr 10.194 0.052 3.146
```

Output
Density, Mg/m³: 2.991
ΔE_f, eV per atom: 0.0990
Final energy, eV/cell: -38.6

=====

# Ba6MgSc2C2O6F14

Crystalline Ba6MgSc2C2O6F14 at its relaxed geometry (PBE-GGA, the Materials Project).

extended XYZ file:
```
31
Lattice="6.649 0.000 0.000 -0.371 8.898 0.000 -0.624 -1.238 8.860" Properties=species:S:1:pos:R:3 pbc="T T T"
Ba 0.000 0.000 0.000
Ba -0.203 -0.040 4.333
Ba 0.250 3.289 8.266
Ba 2.679 7.296 1.933
Ba 2.596 5.897 6.205
Ba 3.415 2.546 2.322
Mg 3.621 3.734 8.774
Sc -0.239 5.277 3.189
Sc 3.092 0.471 7.246
C -0.248 3.298 4.917
C 3.049 2.544 5.580
O -0.150 2.306 5.717
O 0.147 4.502 5.240
O 2.808 2.670 6.880
O 3.049 3.550 4.809
O 3.275 1.325 5.180
O 5.917 3.172 3.704
F -0.145 6.945 1.875
F 0.821 5.882 8.275
F 1.108 6.702 4.089
F 1.507 0.623 2.270
F 1.479 4.627 2.319
F 1.553 -0.595 6.412
F 1.583 0.920 8.658
F 2.953 7.698 8.509
F 4.615 -0.749 6.334
F 4.882 0.318 2.289
F 4.698 6.270 3.836
F 4.659 1.205 8.389
F 4.742 4.972 7.728
F 5.570 4.483 1.405
```

Output
Density, Mg/m³: 4.195
ΔE_f, eV per atom: -3.4994
E (MP2020), eV/atom: -6.75
Final energy, eV/cell: -198.6

=====

# SmCd2

Crystalline SmCd2 at its relaxed geometry (PBE-GGA, the Materials Project).

extended XYZ file:
```
3
Lattice="5.050 0.000 0.000 -2.525 4.374 0.000 0.000 0.000 3.477" Properties=species:S:1:pos:R:3 pbc="T T T"
Sm 0.000 0.000 0.000
Cd 0.000 2.916 1.738
Cd 2.525 1.458 1.738
```

Output
Density, Mg/m³: 8.113
ΔE_f, eV per atom: -0.3331
Final energy, eV/cell: -7.6

=====

# Rb8Ta6O19

Crystalline Rb8Ta6O19 at its relaxed geometry (PBE-GGA, the Materials Project).

extended XYZ file:
```
33
Lattice="-4.906 4.906 6.868 4.906 -4.906 6.868 4.906 4.906 -6.868" Properties=species:S:1:pos:R:3 pbc="T T T"
Rb 2.735 -0.841 1.987
Rb 5.747 -2.171 4.881
Rb 7.077 0.841 1.987
Rb 0.841 2.735 1.987
Rb 4.065 2.171 4.881
Rb -2.171 4.065 4.881
Rb -0.841 7.077 1.987
Rb 2.171 5.747 4.881
Ta 3.865 2.747 0.000
Ta 0.000 0.000 4.519
Ta 2.160 -1.042 6.868
Ta 2.747 5.948 0.000
Ta 0.000 0.000 9.217
Ta 1.042 2.160 6.868
O 2.941 1.166 0.000
O 4.021 3.126 -1.975
O 0.000 0.000 2.681
O 5.793 2.288 0.000
O 1.780 -0.886 4.893
O 3.740 -1.966 6.868
O 2.288 4.019 0.000
O 3.126 5.792 -1.975
O 4.021 3.126 1.975
O 0.000 0.000 6.868
O 0.886 1.780 4.893
O 1.780 -0.886 8.843
O 2.618 0.887 6.868
O 1.166 6.872 0.000
O 3.126 5.792 1.975
O -0.887 2.618 6.868
O 0.000 0.000 11.055
O 0.886 1.780 8.843
O 1.966 3.740 6.868
```

Output
Density, Mg/m³: 5.207
ΔE_f, eV per atom: -2.9373
E (MP2020), eV/atom: -8.18
Final energy, eV/cell: -256.9

=====

# ZrH14C2N8F6

Crystalline ZrH14C2N8F6 at its relaxed geometry (PBE-GGA, the Materials Project).

extended XYZ file:
```
62
Lattice="6.450 0.000 0.000 0.000 6.464 0.000 -2.192 0.000 14.589" Properties=species:S:1:pos:R:3 pbc="T T T"
Zr 0.000 0.000 0.000
Zr -1.096 3.232 7.295
H -0.493 0.041 3.351
H -1.589 3.191 10.645
H -0.531 0.033 5.096
H -1.627 3.200 12.391
H 1.388 3.387 1.025
H 0.292 6.310 8.320
H 0.387 0.276 12.378
H 1.483 2.956 5.084
H 1.710 0.757 5.935
H 0.614 2.475 13.230
H 0.633 4.140 13.290
H 1.729 5.557 5.995
H 1.270 3.474 10.425
H 2.366 6.223 3.131
H 1.892 0.242 11.459
H 2.988 2.990 4.164
H 2.529 0.908 8.594
H 3.625 2.325 1.299
H 3.644 3.989 1.359
H 2.548 5.707 8.654
H 2.775 3.508 9.506
H 3.871 6.188 2.211
H 3.966 0.155 6.270
H 2.870 3.078 13.564
H 5.885 3.265 2.198
H 4.789 6.432 9.493
H 5.846 3.274 3.944
H 4.751 6.423 11.238
C 0.180 0.071 10.356
C 1.276 3.161 3.062
C 2.982 3.304 11.528
C 4.078 6.393 4.233
N -0.055 3.277 3.075
N -1.151 6.420 10.369
N 0.814 0.085 9.168
N 1.910 3.147 1.873
N 0.873 0.168 11.489
N 1.969 3.065 4.195
N 0.946 3.326 12.758
N 2.042 6.371 5.464
N 2.216 0.094 9.126
N 3.312 3.138 1.831
N 2.289 3.400 10.394
N 3.385 6.297 3.100
N 2.348 3.317 12.716
N 3.444 6.379 5.422
N 5.409 0.045 4.220
N 4.313 3.187 11.514
F -1.363 4.603 14.274
F -0.267 5.093 6.979
F -0.450 3.266 9.233
F 0.646 6.431 1.939
F -0.470 0.879 13.903
F 0.626 2.353 6.609
F 3.632 4.112 7.981
F 4.728 5.585 0.686
F 3.612 0.033 12.651
F 4.708 3.199 5.356
F 4.525 1.371 7.610
F 5.621 1.861 0.315
```

Output
Density, Mg/m³: 1.940
ΔE_f, eV per atom: -1.0597
E (MP2020), eV/atom: -5.98
Final energy, eV/cell: -365.5

=====

# Li3VS4

Crystalline Li3VS4 at its relaxed geometry (PBE-GGA, the Materials Project).

extended XYZ file:
```
64
Lattice="0.000 13.000 3.698 12.427 0.000 3.698 12.427 13.000 0.000" Properties=species:S:1:pos:R:3 pbc="T T T"
Li 0.000 0.000 0.000
Li 11.810 9.795 1.904
Li 15.624 7.229 3.800
Li 12.350 6.608 3.417
Li 6.213 6.500 1.849
Li 16.280 15.860 2.444
Li 22.493 16.639 4.293
Li 15.842 10.581 4.071
Li 13.044 16.204 1.904
Li 19.258 16.295 3.753
Li 8.574 10.139 2.444
Li 18.717 13.108 5.266
Li 12.427 13.000 3.598
Li 5.596 9.704 3.753
Li 15.443 13.729 5.649
Li 12.503 19.391 3.417
Li 18.640 19.500 5.447
Li 22.056 21.918 5.920
Li 9.011 15.418 4.071
Li 15.225 17.081 5.920
Li 14.788 22.360 4.293
Li 9.411 12.270 5.649
Li 9.229 18.770 3.800
Li 6.137 12.891 5.266
V 18.867 9.489 3.163
V 15.473 12.844 1.334
V 9.381 13.156 1.334
V 9.259 6.656 3.183
V 15.595 19.344 3.183
V 12.654 10.010 5.011
V 12.200 15.989 5.011
V 5.987 16.510 3.163
S 6.181 2.440 1.312
S 2.381 1.773 0.601
S 12.394 4.060 3.161
S 10.606 7.461 1.701
S 10.046 11.227 0.601
S 13.730 11.613 1.665
S 8.595 4.727 2.450
S 20.461 13.961 3.550
S 16.572 12.991 3.183
S 13.643 8.775 3.551
S 11.123 14.387 1.665
S 6.246 10.560 1.312
S 1.821 5.539 1.701
S 17.337 18.113 3.514
S 7.517 7.887 3.514
S 3.832 8.273 2.450
S 22.786 19.508 5.031
S 10.719 10.544 4.180
S 14.135 15.455 4.180
S 8.282 13.008 3.183
S 17.425 15.275 5.400
S 13.798 11.795 5.390
S 20.348 17.044 6.029
S 11.211 17.224 3.551
S 4.393 12.039 3.550
S 12.459 21.939 3.161
S 11.056 14.204 5.390
S 19.856 23.724 5.400
S 14.495 19.491 5.031
S 20.011 20.704 7.239
S 16.932 21.955 6.029
S 17.270 18.295 7.239
```

Output
Density, Mg/m³: 2.224
ΔE_f, eV per atom: -1.3001
E (MP2020), eV/atom: -5.22
Final energy, eV/cell: -318.0

=====

# MgIrN2

Crystalline MgIrN2 at its relaxed geometry (PBE-GGA, the Materials Project).

extended XYZ file:
```
16
Lattice="5.639 0.000 0.000 0.000 6.593 0.000 0.000 0.000 5.536" Properties=species:S:1:pos:R:3 pbc="T T T"
Mg 0.517 0.842 0.000
Mg 2.302 4.138 2.768
Mg 3.336 2.455 0.000
Mg 5.122 5.751 2.768
Ir 0.446 4.318 0.144
Ir 2.373 1.022 2.912
Ir 3.265 5.571 0.144
Ir 5.193 2.275 2.912
N 0.368 3.958 2.041
N 0.593 0.827 2.108
N 2.226 4.124 4.876
N 2.451 0.661 4.809
N 3.188 5.932 2.041
N 3.413 2.469 2.108
N 5.045 5.766 4.876
N 5.270 2.635 4.809
```

Output
Density, Mg/m³: 7.892
ΔE_f, eV per atom: -0.0594
E (MP2020), eV/atom: -6.84
Final energy, eV/cell: -106.5

=====

# K3NbF6

Crystalline K3NbF6 at its relaxed geometry (PBE-GGA, the Materials Project).

extended XYZ file:
```
10
Lattice="0.000 4.614 4.614 4.614 0.000 4.614 4.614 4.614 0.000" Properties=species:S:1:pos:R:3 pbc="T T T"
K 0.000 0.000 0.000
K 2.307 2.307 2.307
K 6.921 6.921 6.921
Nb 4.614 4.614 4.614
F 4.614 4.614 2.510
F 4.614 2.510 4.614
F 6.718 4.614 4.614
F 2.510 4.614 4.614
F 4.614 6.718 4.614
F 4.614 4.614 6.718
```

Output
Density, Mg/m³: 2.741
ΔE_f, eV per atom: -2.9585
E (MP2020), eV/atom: -5.45
Final energy, eV/cell: -51.7

=====

# LaMgAu

Crystalline LaMgAu at its relaxed geometry (PBE-GGA, the Materials Project).

extended XYZ file:
```
9
Lattice="7.884 0.000 0.000 -3.942 6.827 0.000 0.000 0.000 4.289" Properties=species:S:1:pos:R:3 pbc="T T T"
La -2.329 4.034 0.000
La 1.613 2.794 0.000
La 4.658 0.000 0.000
Mg -0.952 1.649 2.145
Mg 1.904 0.000 2.145
Mg 2.990 5.178 2.145
Au 0.000 0.000 0.000
Au 0.000 4.552 2.145
Au 3.942 2.276 2.145
```

Output
Density, Mg/m³: 7.772
ΔE_f, eV per atom: -0.6624
Final energy, eV/cell: -35.4

=====

# K2PuCl5

Crystalline K2PuCl5 at its relaxed geometry (PBE-GGA, the Materials Project).

extended XYZ file:
```
32
Lattice="13.066 0.000 0.000 0.000 8.575 0.000 0.000 0.000 8.031" Properties=species:S:1:pos:R:3 pbc="T T T"
K 2.318 0.066 0.305
K 2.318 4.222 0.305
K 4.215 4.353 4.320
K 4.215 8.509 4.320
K 8.851 0.066 3.711
K 8.851 4.222 3.711
K 10.748 4.353 7.726
K 10.748 8.509 7.726
Pu 0.077 2.144 4.546
Pu 6.456 6.431 0.530
Pu 6.610 2.144 7.501
Pu 12.989 6.431 3.485
Cl 0.231 2.144 7.368
Cl 1.043 4.648 5.296
Cl 1.043 8.214 5.296
Cl 2.316 2.144 2.980
Cl 2.532 6.431 2.607
Cl 4.001 2.144 6.623
Cl 4.217 6.431 6.996
Cl 5.490 0.361 1.280
Cl 5.490 3.927 1.280
Cl 6.302 6.431 3.353
Cl 6.763 2.144 4.679
Cl 7.576 4.648 6.751
Cl 7.576 8.214 6.751
Cl 8.849 2.144 1.035
Cl 9.065 6.431 1.408
Cl 10.534 2.144 5.424
Cl 10.750 6.431 5.051
Cl 12.023 0.361 2.735
Cl 12.023 3.927 2.735
Cl 12.835 6.431 0.663
```

Output
Density, Mg/m³: 3.687
ΔE_f, eV per atom: -2.3741
E (MP2020), eV/atom: -5.59
Final energy, eV/cell: -166.6

=====

# Nb8P5

Crystalline Nb8P5 at its relaxed geometry (PBE-GGA, the Materials Project).

extended XYZ file:
```
52
Lattice="3.449 0.000 0.000 0.000 9.434 0.000 0.000 0.000 26.683" Properties=species:S:1:pos:R:3 pbc="T T T"
Nb 0.000 9.433 2.896
Nb 0.000 0.001 16.237
Nb 0.000 1.535 0.000
Nb 0.000 2.358 22.045
Nb 0.000 2.383 7.280
Nb 0.000 3.186 17.369
Nb 0.000 4.710 1.106
Nb 0.000 4.724 14.447
Nb 0.000 6.248 4.027
Nb 0.000 7.051 20.622
Nb 0.000 7.076 8.704
Nb 0.000 7.899 13.341
Nb 1.725 0.203 8.708
Nb 1.725 0.707 12.053
Nb 1.725 0.786 5.449
Nb 1.725 2.319 19.791
Nb 1.725 2.334 14.971
Nb 1.725 2.374 2.410
Nb 1.725 2.374 24.256
Nb 1.725 3.951 5.348
Nb 1.725 3.963 11.957
Nb 1.725 4.549 8.545
Nb 1.725 4.885 21.886
Nb 1.725 5.471 25.298
Nb 1.725 5.483 18.690
Nb 1.725 7.060 10.914
Nb 1.725 7.060 15.751
Nb 1.725 7.100 1.630
Nb 1.725 7.115 6.449
Nb 1.725 8.648 18.790
Nb 1.725 8.727 25.394
Nb 1.725 9.231 22.049
P 0.000 0.385 20.285
P 0.000 0.434 23.950
P 0.000 2.301 4.344
P 0.000 2.414 12.980
P 0.000 4.232 20.073
P 0.000 4.380 23.745
P 0.000 5.054 10.404
P 0.000 5.202 6.732
P 0.000 7.020 26.322
P 0.000 7.133 17.686
P 0.000 9.000 10.608
P 0.000 9.049 6.944
P 1.725 0.060 1.041
P 1.725 1.354 17.482
P 1.725 3.376 26.543
P 1.725 4.655 16.303
P 1.725 4.779 2.961
P 1.725 6.058 13.201
P 1.725 8.080 4.141
P 1.725 9.374 14.382
```

Output
Density, Mg/m³: 6.871
ΔE_f, eV per atom: -0.7862
Final energy, eV/cell: -472.4